No. 1
Entry from the Materials Project: an optimized crystal structure of KMg14BO16 (PBE).

a b c (Å): 4.4492 8.2158 8.8919
angles (deg): 90.00 90.00 90.00
Fractional coordinates of all 32 atoms:
K  0.0000  0.0000  0.0000
Mg  0.0000  0.0000  0.5000
Mg  0.0000  0.5000  0.5000
Mg  0.5000  0.7411  0.0000
Mg  0.5000  0.2589  0.0000
Mg  0.5000  0.7495  0.5000
Mg  0.5000  0.2505  0.5000
Mg  0.5000  0.0000  0.7479
Mg  0.5000  0.5000  0.7530
Mg  0.5000  0.0000  0.2521
Mg  0.5000  0.5000  0.2470
Mg  0.0000  0.7456  0.7346
Mg  0.0000  0.2544  0.7346
Mg  0.0000  0.7456  0.2654
Mg  0.0000  0.2544  0.2654
B  0.0000  0.5000  0.0000
O  0.0000  0.0000  0.7277
O  0.0000  0.5000  0.7321
O  0.0000  0.0000  0.2723
O  0.0000  0.5000  0.2679
O  0.5000  0.7501  0.7550
O  0.5000  0.2499  0.7550
O  0.5000  0.7501  0.2450
O  0.5000  0.2499  0.2450
O  0.5000  0.0000  0.0000
O  0.5000  0.5000  0.0000
O  0.5000  0.0000  0.5000
O  0.5000  0.5000  0.5000
O  0.0000  0.6669  0.0000
O  0.0000  0.3331  0.0000
O  0.0000  0.7489  0.5000
O  0.0000  0.2511  0.5000

Computed properties:
relative energy among the computed polymorphs: 0.000 eV/atom
energy of formation from the pure elements: -89.148 eV per formula unit
symmetry: Pmmm
calculated total energy: -5.86 eV/atom
volume: 10.16 A^3/atom
theoretical density: 3.30 g/cm³

No. 2
Entry from the Materials Project: an optimized crystal structure of KMg6BO7 (PBE).

a b c (Å): 8.6281 4.4899 4.4899
angles (deg): 90.00 90.00 90.00
Fractional coordinates of all 15 atoms:
K  0.0011  0.0000  0.0000
Mg  0.5015  0.0000  0.0000
Mg  0.4922  0.5000  0.5000
Mg  0.2322  0.0000  0.5000
Mg  0.7588  0.0000  0.5000
Mg  0.2322  0.5000  0.0000
Mg  0.7588  0.5000  0.0000
B  0.9645  0.5000  0.5000
O  0.2760  0.0000  0.0000
O  0.7259  0.0000  0.0000
O  0.8027  0.5000  0.5000
O  0.9959  0.0000  0.5000
O  0.5061  0.0000  0.5000
O  0.9959  0.5000  0.0000
O  0.5061  0.5000  0.0000

Computed properties:
relative energy among the computed polymorphs: 0.209 eV/atom
energy of formation from the pure elements: -30.347 eV per formula unit
symmetry: P4mm
calculated total energy: -5.17 eV/atom
volume: 11.60 A^3/atom
theoretical density: 2.94 g/cm³

No. 3
Entry from the Materials Project: an optimized crystal structure of KMg14BO15 (PBE).

a b c (Å): 4.4728 8.2041 8.8393
angles (deg): 90.00 90.00 90.00
Fractional coordinates of all 31 atoms:
K  0.0000  0.0000  0.0077
Mg  0.0000  0.0000  0.5051
Mg  0.0000  0.5000  0.4981
Mg  0.5000  0.7400  0.9977
Mg  0.5000  0.2600  0.9977
Mg  0.5000  0.7489  0.5058
Mg  0.5000  0.2511  0.5058
Mg  0.5000  0.0000  0.7515
Mg  0.5000  0.5000  0.7567
Mg  0.5000  0.0000  0.2560
Mg  0.5000  0.5000  0.2369
Mg  0.0000  0.7503  0.7459
Mg  0.0000  0.2497  0.7459
Mg  0.0000  0.7425  0.2653
Mg  0.0000  0.2575  0.2653
B  0.0000  0.5000  0.9329
O  0.0000  0.0000  0.7327
O  0.0000  0.0000  0.2786
O  0.0000  0.5000  0.2746
O  0.5000  0.7496  0.7527
O  0.5000  0.2504  0.7527
O  0.5000  0.7493  0.2467
O  0.5000  0.2507  0.2467
O  0.5000  0.0000  0.9967
O  0.5000  0.5000  0.9908
O  0.5000  0.0000  0.5028
O  0.5000  0.5000  0.5138
O  0.0000  0.6685  0.9841
O  0.0000  0.3315  0.9841
O  0.0000  0.7453  0.5093
O  0.0000  0.2547  0.5093

Computed properties:
relative energy among the computed polymorphs: 0.007 eV/atom
energy of formation from the pure elements: -82.628 eV per formula unit
symmetry: Pmm2
calculated total energy: -5.70 eV/atom
volume: 10.46 A^3/atom
theoretical density: 3.23 g/cm³

No. 4
Entry from the Materials Project: an optimized crystal structure of KMg14BO15 (PBE).

a b c (Å): 4.4932 8.4902 8.6233
angles (deg): 90.00 90.00 90.00
Fractional coordinates of all 31 atoms:
K  0.0000  0.9647  0.0000
Mg  0.0000  0.0064  0.5000
Mg  0.0000  0.5124  0.0000
Mg  0.5000  0.0041  0.2509
Mg  0.5000  0.0041  0.7491
Mg  0.5000  0.4994  0.2695
Mg  0.5000  0.4994  0.7305
Mg  0.5000  0.7416  0.0000
Mg  0.5000  0.7513  0.5000
Mg  0.5000  0.2522  0.0000
Mg  0.5000  0.2509  0.5000
Mg  0.0000  0.7485  0.2785
Mg  0.0000  0.7485  0.7215
Mg  0.0000  0.2449  0.2423
Mg  0.0000  0.2449  0.7577
B  0.0000  0.4385  0.5000
O  0.0000  0.7736  0.5000
O  0.0000  0.2806  0.0000
O  0.0000  0.2669  0.5000
O  0.5000  0.7476  0.2529
O  0.5000  0.7476  0.7471
O  0.5000  0.2555  0.2500
O  0.5000  0.2555  0.7500
O  0.5000  0.0051  0.0000
O  0.5000  0.0106  0.5000
O  0.5000  0.5002  0.0000
O  0.5000  0.4920  0.5000
O  0.0000  0.0086  0.2725
O  0.0000  0.0086  0.7275
O  0.0000  0.4927  0.3372
O  0.0000  0.4927  0.6628

Computed properties:
relative energy among the computed polymorphs: 0.038 eV/atom
energy of formation from the pure elements: -81.648 eV per formula unit
symmetry: Pmm2
calculated total energy: -5.67 eV/atom
volume: 10.61 A^3/atom
theoretical density: 3.18 g/cm³

No. 5
Entry from the Materials Project: an optimized crystal structure of KMg14BO16 (PBE).

a b c (Å): 8.5007 8.5007 4.4189
angles (deg): 90.00 90.00 90.00
Fractional coordinates of all 32 atoms:
K  0.0000  0.0000  0.0000
Mg  0.0000  0.5000  0.0000
Mg  0.5000  0.0000  0.0000
Mg  0.0000  0.2501  0.5000
Mg  0.0000  0.7499  0.5000
Mg  0.5000  0.2590  0.5000
Mg  0.5000  0.7410  0.5000
Mg  0.2501  0.0000  0.5000
Mg  0.2590  0.5000  0.5000
Mg  0.7499  0.0000  0.5000
Mg  0.7410  0.5000  0.5000
Mg  0.2525  0.2525  0.0000
Mg  0.2525  0.7475  0.0000
Mg  0.7475  0.2525  0.0000
Mg  0.7475  0.7475  0.0000
B  0.5000  0.5000  0.0000
O  0.2783  0.0000  0.0000
O  0.2962  0.5000  0.0000
O  0.7217  0.0000  0.0000
O  0.7038  0.5000  0.0000
O  0.2516  0.2516  0.5000
O  0.2516  0.7484  0.5000
O  0.7484  0.2516  0.5000
O  0.7484  0.7484  0.5000
O  0.0000  0.0000  0.5000
O  0.0000  0.5000  0.5000
O  0.5000  0.0000  0.5000
O  0.5000  0.5000  0.5000
O  0.0000  0.2783  0.0000
O  0.0000  0.7217  0.0000
O  0.5000  0.2962  0.0000
O  0.5000  0.7038  0.0000

Computed properties:
relative energy among the computed polymorphs: 0.077 eV/atom
energy of formation from the pure elements: -86.682 eV per formula unit
symmetry: P4/mmm
calculated total energy: -5.78 eV/atom
volume: 9.98 A^3/atom
theoretical density: 3.36 g/cm³

No. 6
Entry from the Materials Project: an optimized crystal structure of KMg6BO7 (PBE).

a b c (Å): 7.8552 4.7861 4.7861
angles (deg): 90.00 90.00 90.00
Fractional coordinates of all 15 atoms:
K  0.0013  0.0000  0.0000
Mg  0.0041  0.5000  0.5000
Mg  0.4962  0.5000  0.5000
Mg  0.2556  0.0000  0.5000
Mg  0.7435  0.0000  0.5000
Mg  0.2556  0.5000  0.0000
Mg  0.7435  0.5000  0.0000
B  0.5006  0.0000  0.0000
O  0.3306  0.0000  0.0000
O  0.6715  0.0000  0.0000
O  0.7502  0.5000  0.5000
O  0.9992  0.0000  0.5000
O  0.4994  0.0000  0.5000
O  0.9992  0.5000  0.0000
O  0.4994  0.5000  0.0000

Computed properties:
relative energy among the computed polymorphs: 0.000 eV/atom
energy of formation from the pure elements: -33.486 eV per formula unit
symmetry: P4mm
calculated total energy: -5.38 eV/atom
volume: 12.00 A^3/atom
theoretical density: 2.84 g/cm³

No. 7
Entry from the Materials Project: an optimized crystal structure of KNa2BO3 (PBE).

a b c (Å): 5.6441 5.6516 6.1063
angles (deg): 90.00 90.00 90.00
Fractional coordinates of all 14 atoms:
K  0.9240  0.5000  0.5000
K  0.0760  0.0000  0.0000
Na  0.3733  0.5000  0.7706
Na  0.3733  0.5000  0.2294
Na  0.6267  0.0000  0.7294
Na  0.6267  0.0000  0.2706
B  0.7959  0.5000  0.0000
B  0.2041  0.0000  0.5000
O  0.6658  0.2879  0.0000
O  0.3342  0.2121  0.5000
O  0.0424  0.5000  0.0000
O  0.9576  0.0000  0.5000
O  0.3342  0.7879  0.5000
O  0.6658  0.7121  0.0000

Computed properties:
energy of formation from the pure elements: -15.860 eV per formula unit
symmetry: Pmmn
calculated total energy: -5.58 eV/atom
volume: 13.91 A^3/atom
theoretical density: 2.45 g/cm³

No. 8
Entry from the Materials Project: an optimized crystal structure of KNa2Si12B3O30 (PBE).

a b c (Å): 10.3743 10.3743 13.6872
angles (deg): 90.00 90.00 120.00
Fractional coordinates of all 96 atoms:
K  0.0000  0.0000  0.7500
K  0.0000  0.0000  0.2500
Na  0.6667  0.3333  0.2500
Na  0.6667  0.3333  0.7500
Na  0.3333  0.6667  0.7500
Na  0.3333  0.6667  0.2500
Si  0.2692  0.3378  0.3870
Si  0.0686  0.7308  0.6130
Si  0.2692  0.3378  0.6130
Si  0.7308  0.0686  0.8870
Si  0.3378  0.2692  0.8870
Si  0.6622  0.7308  0.8870
Si  0.2692  0.9314  0.8870
Si  0.9314  0.6622  0.8870
Si  0.0686  0.7308  0.3870
Si  0.0686  0.3378  0.8870
Si  0.6622  0.9314  0.3870
Si  0.6622  0.9314  0.6130
Si  0.9314  0.6622  0.1130
Si  0.9314  0.2692  0.3870
Si  0.7308  0.6622  0.3870
Si  0.2692  0.9314  0.1130
Si  0.6622  0.7308  0.1130
Si  0.3378  0.2692  0.1130
Si  0.7308  0.0686  0.1130
Si  0.0686  0.3378  0.1130
Si  0.3378  0.0686  0.6130
Si  0.7308  0.6622  0.6130
Si  0.9314  0.2692  0.6130
Si  0.3378  0.0686  0.3870
B  0.0000  0.5000  0.2500
B  0.5000  0.5000  0.7500
B  0.5000  0.0000  0.7500
B  0.0000  0.5000  0.7500
B  0.5000  0.5000  0.2500
B  0.5000  0.0000  0.2500
O  0.1890  0.2822  0.1321
O  0.0998  0.6290  0.6878
O  0.0998  0.4708  0.8122
O  0.5292  0.9002  0.6878
O  0.4708  0.0998  0.6878
O  0.6290  0.5292  0.6878
O  0.3710  0.4708  0.6878
O  0.6290  0.0998  0.8122
O  0.4708  0.3710  0.8122
O  0.5292  0.6290  0.8122
O  0.3710  0.9002  0.8122
O  0.9002  0.5292  0.8122
O  0.0998  0.6290  0.3122
O  0.3710  0.4708  0.3122
O  0.5292  0.9002  0.3122
O  0.4708  0.0998  0.3122
O  0.9002  0.5292  0.1878
O  0.9002  0.3710  0.3122
O  0.6290  0.5292  0.3122
O  0.3710  0.9002  0.1878
O  0.5292  0.6290  0.1878
O  0.4708  0.3710  0.1878
O  0.6290  0.0998  0.1878
O  0.0932  0.2822  0.6321
O  0.8110  0.0932  0.6321
O  0.9068  0.7178  0.6321
O  0.2822  0.1890  0.6321
O  0.7178  0.8110  0.6321
O  0.1890  0.2822  0.8679
O  0.1890  0.9068  0.6321
O  0.0823  0.3942  0.0000
O  0.6881  0.0823  0.0000
O  0.3942  0.3119  0.0000
O  0.6058  0.6881  0.0000
O  0.3119  0.9177  0.0000
O  0.6881  0.6058  0.5000
O  0.9177  0.3119  0.5000
O  0.9177  0.6058  0.0000
O  0.3942  0.0823  0.5000
O  0.6058  0.9177  0.5000
O  0.3119  0.3942  0.5000
O  0.0823  0.6881  0.5000
O  0.9002  0.3710  0.6878
O  0.9068  0.1890  0.1321
O  0.2822  0.0932  0.1321
O  0.7178  0.9068  0.1321
O  0.0932  0.8110  0.1321
O  0.9068  0.7178  0.3679
O  0.8110  0.0932  0.3679
O  0.8110  0.7178  0.1321
O  0.2822  0.1890  0.3679
O  0.7178  0.8110  0.3679
O  0.0932  0.2822  0.3679
O  0.1890  0.9068  0.3679
O  0.8110  0.7178  0.8679
O  0.0932  0.8110  0.8679
O  0.7178  0.9068  0.8679
O  0.2822  0.0932  0.8679
O  0.9068  0.1890  0.8679
O  0.0998  0.4708  0.1878

Computed properties:
energy of formation from the pure elements: -149.857 eV per formula unit
symmetry: P6/mcc
calculated total energy: -7.64 eV/atom
volume: 13.29 A^3/atom
theoretical density: 2.43 g/cm³

Question: Among the records above, which one has the highest theoretical density?
Answer: number 5

Question: What is the formula in the third record?
Answer: KMg14BO15